No. 1
DFT (r2SCAN) results for K2CaH2S2O9 after structural relaxation.

Cell lengths 7.0943, 6.2196, 9.7123 Å; angles 76.19, 90.00, 90.00 degrees
Fractional coordinates of all 32 atoms:
K 0.4921 0.1956 0.6642
O 0.4175 0.2822 0.2691
K 0.5079 0.8044 0.3358
O 0.0831 0.6951 0.0198
O 0.9175 0.7178 0.7309
O 0.7500 0.9817 0.1184
H 0.3616 0.5972 0.7505
O 0.2500 0.0183 0.8816
S 0.2500 0.2676 0.3626
K 0.9921 0.8044 0.3358
O 0.2500 0.0532 0.4682
O 0.4169 0.6951 0.0198
O 0.7500 0.9468 0.5318
O 0.0825 0.2822 0.2691
O 0.7500 0.4974 0.2240
H 0.8616 0.4028 0.2495
O 0.2500 0.4499 0.4358
O 0.7500 0.0564 0.8664
O 0.9169 0.3049 0.9802
O 0.2500 0.9436 0.1336
Ca 0.7500 0.6657 0.9684
O 0.7500 0.5501 0.5642
Ca 0.2500 0.3343 0.0316
S 0.7500 0.1597 0.9887
K 0.0079 0.1956 0.6642
S 0.7500 0.7324 0.6374
S 0.2500 0.8403 0.0113
O 0.5825 0.7178 0.7309
O 0.5831 0.3049 0.9802
O 0.2500 0.5026 0.7760
H 0.1384 0.5972 0.7505
H 0.6384 0.4028 0.2495

* magnetic moment: 0.00 μB per cell
* symmetry: P2_1/m
* E_form: -2.01 eV/atom
* volume: 13.00 Å³ per atom
* uncorrected energy: -7.9941 eV per atom


No. 2
DFT (r2SCAN) results for PuSnAu2 after structural relaxation.

Cell lengths 5.0079, 5.0079, 5.0079 Å; angles 60.00, 60.00, 60.00 degrees
Fractional coordinates of all 4 atoms:
Au 0.5000 0.5000 0.5000
Au 0.0000 0.0000 0.0000
Pu 0.2500 0.2500 0.2500
Sn 0.7500 0.7500 0.7500

* magnetic moment: 5.40 μB per cell
* symmetry: Fm-3m
* E_form: -0.56 eV/atom
* volume: 22.20 Å³ per atom
* uncorrected energy: -53.6294 eV per atom


No. 3
DFT (r2SCAN) results for K6U5V2O23 after structural relaxation.

Cell lengths 24.8654, 6.9593, 7.1521 Å; angles 80.96, 90.00, 90.00 degrees
Fractional coordinates of all 72 atoms:
U 0.6424 0.6536 0.9716
O 0.6621 0.7071 0.2819
K 0.8871 0.1307 0.7304
O 0.0000 0.5000 0.0000
U 0.0000 0.5000 0.5000
O 0.8721 0.9181 0.4302
O 0.9320 0.5933 0.3008
U 0.1424 0.3464 0.5284
K 0.9617 0.0472 0.2344
O 0.6071 0.3363 0.5346
U 0.9184 0.5907 0.9858
O 0.2936 0.9725 0.5753
O 0.5709 0.5619 0.1737
K 0.3871 0.8693 0.7696
O 0.6612 0.3948 0.0008
O 0.0680 0.4067 0.6992
O 0.8388 0.3948 0.5008
O 0.7665 0.6925 0.4614
O 0.0592 0.1503 0.0595
U 0.3576 0.3464 0.0284
K 0.7983 0.2056 0.2324
K 0.5383 0.0472 0.7344
O 0.5000 0.5000 0.5000
V 0.2031 0.2151 0.0463
O 0.3379 0.2929 0.7181
O 0.5680 0.5933 0.8008
K 0.6129 0.1307 0.2304
O 0.7064 0.0275 0.4247
O 0.7936 0.0275 0.9247
U 0.5816 0.5907 0.4858
V 0.7031 0.7849 0.4537
K 0.0383 0.9528 0.7656
U 0.4184 0.4093 0.5142
O 0.1621 0.2929 0.2181
O 0.2335 0.3075 0.5386
O 0.9787 0.2398 0.5280
U 0.5000 0.5000 0.0000
V 0.2969 0.2151 0.5463
K 0.1129 0.8693 0.2696
O 0.0709 0.4381 0.3263
O 0.1071 0.6637 0.9654
O 0.3388 0.6052 0.9992
K 0.2983 0.7944 0.2676
O 0.3721 0.0819 0.0698
O 0.3929 0.6637 0.4654
K 0.7017 0.2056 0.7324
O 0.0213 0.7602 0.4720
O 0.9408 0.8497 0.9405
O 0.4787 0.7602 0.9720
O 0.1637 0.3123 0.8507
O 0.8929 0.3363 0.0346
O 0.5592 0.8497 0.4405
O 0.5213 0.2398 0.0280
O 0.2064 0.9725 0.0753
O 0.2665 0.3075 0.0386
O 0.9291 0.5619 0.6737
U 0.0816 0.4093 0.0142
O 0.4408 0.1503 0.5595
O 0.1612 0.6052 0.4992
U 0.8576 0.6536 0.4716
O 0.6637 0.6877 0.6493
O 0.8379 0.7071 0.7819
O 0.6279 0.9181 0.9302
O 0.4291 0.4381 0.8263
O 0.4320 0.4067 0.1992
K 0.4617 0.9528 0.2656
O 0.7335 0.6925 0.9614
K 0.2017 0.7944 0.7676
O 0.8363 0.6877 0.1493
O 0.3363 0.3123 0.3507
O 0.1279 0.0819 0.5698
V 0.7969 0.7849 0.9537

* magnetic moment: 0.00 μB per cell
* symmetry: P2_1/c
* E_form: -3.00 eV/atom
* volume: 16.98 Å³ per atom
* uncorrected energy: -19.7041 eV per atom


No. 4
DFT (r2SCAN) results for Cs after structural relaxation.

Cell lengths 5.4187, 5.4187, 5.4187 Å; angles 109.47, 109.47, 109.47 degrees
Fractional coordinates of all 1 atoms:
Cs 0.0000 0.0000 0.0000

* magnetic moment: 0.00 μB per cell
* symmetry: Im-3m
* E_form: 0.02 eV/atom
* energy relative to the lowest polymorph listed for this composition: 19 meV per atom
* volume: 122.48 Å³ per atom
* uncorrected energy: -25.0891 eV per atom